No. 1
{"formula": "NdIn2Cu9", "functional": "PBE-GGA", "state": "optimized geometry", "lattice_angstrom": [[8.5104, 0.0000, 0.0000], [0.0000, 8.5104, 0.0000], [0.0000, 0.0000, 5.0411]], "species": ["Cu", "Cu", "Cu", "Cu", "Cu", "Cu", "Cu", "Cu", "Cu", "Cu", "Cu", "Cu", "Cu", "Cu", "Cu", "Cu", "Cu", "Cu", "Nd", "Nd", "In", "In", "In", "In"], "frac_coords": [[0.1768, 0.3232, 0.2468], [0.8232, 0.6768, 0.2468], [0.7066, 0.4361, 0.5000], [0.4361, 0.2934, 0.5000], [0.5000, 0.0000, 0.5000], [0.0639, 0.7934, 0.5000], [0.3232, 0.8232, 0.7532], [0.2066, 0.0639, 0.5000], [0.8232, 0.6768, 0.7532], [0.9361, 0.2066, 0.5000], [0.5639, 0.7066, 0.5000], [0.0000, 0.5000, 0.5000], [0.1768, 0.3232, 0.7532], [0.7934, 0.9361, 0.5000], [0.3232, 0.8232, 0.2468], [0.6768, 0.1768, 0.2468], [0.2934, 0.5639, 0.5000], [0.6768, 0.1768, 0.7532], [0.0000, 0.0000, 0.0000], [0.5000, 0.5000, 0.0000], [0.8772, 0.3772, 0.0000], [0.6228, 0.8772, 0.0000], [0.1228, 0.6228, 0.0000], [0.3772, 0.1228, 0.0000]], "m_tot_mub_per_cell": 0.0, "sg": "P4/mbm, No. 127", "crystal_system": "tetragonal", "formation_enthalpy_0k_ev_per_atom": -0.131}

***

No. 2
{"formula": "Na5Nb3AlSi5PO24", "functional": "PBE-GGA", "state": "optimized geometry", "lattice_angstrom": [[-8.4288, -0.6978, 2.9717], [5.6533, -6.8724, 0.8822], [6.3743, 7.7768, 20.0068]], "species": ["O", "O", "O", "O", "O", "O", "O", "O", "O", "O", "O", "O", "O", "O", "O", "O", "O", "O", "O", "O", "O", "O", "O", "O", "O", "O", "O", "O", "O", "O", "O", "O", "O", "O", "O", "O", "O", "O", "O", "O", "O", "O", "O", "O", "O", "O", "O", "O", "O", "O", "O", "O", "O", "O", "O", "O", "O", "O", "O", "O", "O", "O", "O", "O", "O", "O", "O", "O", "O", "O", "O", "O", "Na", "Na", "Na", "Na", "Na", "Na", "Na", "Na", "Na", "Na", "Na", "Na", "Na", "Na", "Na", "Si", "Si", "Si", "Si", "Si", "Si", "Si", "Si", "Si", "Si", "Si", "Si", "Si", "Si", "Si", "Nb", "Nb", "Nb", "Nb", "Nb", "Nb", "Nb", "Nb", "Nb", "Al", "Al", "Al", "P", "P", "P"], "frac_coords": [[0.4994, 0.3527, 0.4226], [0.3094, 0.8412, 0.9768], [0.6268, 0.1373, 0.1421], [0.8116, 0.8404, 0.9111], [0.1619, 0.1989, 0.6916], [0.8404, 0.3122, 0.2477], [0.1594, 0.9714, 0.9111], [0.3707, 0.5070, 0.3591], [0.6391, 0.4941, 0.9219], [0.1463, 0.6483, 0.0816], [0.3651, 0.5072, 0.0793], [0.1303, 0.6281, 0.3568], [0.8330, 0.0173, 0.0919], [0.0189, 0.8380, 0.4077], [0.4876, 0.1817, 0.2433], [0.8546, 0.4967, 0.4221], [0.4981, 0.8554, 0.0791], [0.3647, 0.8674, 0.5785], [0.3571, 0.8637, 0.8571], [0.6857, 0.1723, 0.7414], [0.1646, 0.4745, 0.9738], [0.8591, 0.4990, 0.1496], [0.0176, 0.1909, 0.1979], [0.8381, 0.0405, 0.8055], [0.1690, 0.9740, 0.1937], [0.4701, 0.1566, 0.5281], [0.4835, 0.3068, 0.7419], [0.8552, 0.3628, 0.9213], [0.2027, 0.0316, 0.5879], [0.7031, 0.5347, 0.2478], [0.1746, 0.7062, 0.4716], [0.8277, 0.8047, 0.3076], [0.4964, 0.6417, 0.5780], [0.8380, 0.3091, 0.5256], [0.6871, 0.5258, 0.5257], [0.3116, 0.4802, 0.7537], [0.6994, 0.1668, 0.0257], [0.5059, 0.6426, 0.8576], [0.2006, 0.1626, 0.8056], [0.8257, 0.5158, 0.7438], [0.0385, 0.8396, 0.6919], [0.3024, 0.8284, 0.2560], [0.1563, 0.1834, 0.4086], [0.4949, 0.8644, 0.3586], [0.5304, 0.6913, 0.9770], [0.6409, 0.1447, 0.4217], [0.7975, 0.8220, 0.1949], [0.1337, 0.4914, 0.8560], [0.1432, 0.5091, 0.5780], [0.5324, 0.6934, 0.2562], [0.1630, 0.4674, 0.2553], [0.9771, 0.1768, 0.3098], [0.5109, 0.3764, 0.1430], [0.6396, 0.5021, 0.6460], [0.9708, 0.8074, 0.0935], [0.5350, 0.8277, 0.4726], [0.2956, 0.4667, 0.4729], [0.8012, 0.9628, 0.6920], [0.9759, 0.1645, 0.5881], [0.1924, 0.1618, 0.0925], [0.8416, 0.8092, 0.5879], [0.1708, 0.6904, 0.7537], [0.5064, 0.1464, 0.9205], [0.4908, 0.1344, 0.6421], [0.8250, 0.5280, 0.0302], [0.5200, 0.8293, 0.7535], [0.9630, 0.8005, 0.8057], [0.0276, 0.1874, 0.9115], [0.1978, 0.0259, 0.3115], [0.4645, 0.2927, 0.0269], [0.8171, 0.9771, 0.4057], [0.8587, 0.3563, 0.6458], [0.7059, 0.6749, 0.4130], [0.3326, 0.6652, 0.6638], [0.9929, 0.6283, 0.2439], [0.9904, 0.3644, 0.7456], [0.6677, 0.6947, 0.0845], [0.9995, 0.0102, 0.9958], [0.6516, 0.3200, 0.3226], [0.9681, 0.2937, 0.4123], [0.6662, 0.3340, 0.8339], [0.3726, 0.0085, 0.7466], [0.3348, 0.6575, 0.1657], [0.3245, 0.0317, 0.4116], [0.3109, 0.9715, 0.0845], [0.9990, 0.9994, 0.5002], [0.6352, 0.6254, 0.7458], [0.3874, 0.3363, 0.0869], [0.2986, 0.0169, 0.2528], [0.0460, 0.6733, 0.4151], [0.9515, 0.3351, 0.5880], [0.7102, 0.0063, 0.7484], [0.3270, 0.3712, 0.4148], [0.6691, 0.0528, 0.0868], [0.3332, 0.9584, 0.9171], [0.6294, 0.9560, 0.4155], [0.9953, 0.7057, 0.7480], [0.0405, 0.3740, 0.9162], [0.6240, 0.6668, 0.9177], [0.2953, 0.2885, 0.7476], [0.6662, 0.6175, 0.5879], [0.9459, 0.6075, 0.0900], [0.0039, 0.0040, 0.1460], [0.0003, 0.9993, 0.8549], [0.3377, 0.6719, 0.3101], [0.6670, 0.3317, 0.9778], [0.6711, 0.3362, 0.4809], [0.3335, 0.6620, 0.5229], [0.3276, 0.6618, 0.0223], [0.3335, 0.6661, 0.8133], [0.9965, 0.9998, 0.6431], [0.6528, 0.3224, 0.1848], [0.0059, 0.0028, 0.3522], [0.6695, 0.3378, 0.6879], [0.9932, 0.2824, 0.2539], [0.7161, 0.7115, 0.2528], [0.3830, 0.0483, 0.5863]], "m_tot_mub_per_cell": 0.0, "sg": "P1, No. 1", "crystal_system": "triclinic", "formation_enthalpy_0k_ev_per_atom": -2.962}

***

No. 3
{"formula": "Ca3Ni3N5", "functional": "PBE-GGA", "state": "optimized geometry", "lattice_angstrom": [[5.5920, 0.0364, -0.1360], [-0.5873, 6.7345, 0.0134], [-2.1502, -2.7608, 7.4718]], "species": ["N", "N", "N", "N", "N", "N", "N", "N", "N", "N", "Ni", "Ni", "Ni", "Ni", "Ni", "Ni", "Ca", "Ca", "Ca", "Ca", "Ca", "Ca"], "frac_coords": [[0.9525, 0.1026, 0.7877], [0.6191, 0.0528, 0.3738], [0.0475, 0.8974, 0.2123], [0.8281, 0.6933, 0.5056], [0.7390, 0.2334, 0.1058], [0.3809, 0.9472, 0.6262], [0.1719, 0.3067, 0.4944], [0.2610, 0.7666, 0.8942], [0.2503, 0.4667, 0.1010], [0.7497, 0.5333, 0.8990], [0.0948, 0.6789, 0.0275], [0.6960, 0.9432, 0.5628], [0.9052, 0.3211, 0.9725], [0.8882, 0.1286, 0.2880], [0.1118, 0.8714, 0.7120], [0.3040, 0.0568, 0.4372], [0.8074, 0.4074, 0.6058], [0.1926, 0.5926, 0.3942], [0.6692, 0.8741, 0.8783], [0.6537, 0.6752, 0.1964], [0.3308, 0.1259, 0.1217], [0.3463, 0.3248, 0.8036]], "m_tot_mub_per_cell": 0.0, "sg": "P-1, No. 2", "crystal_system": "triclinic", "formation_enthalpy_0k_ev_per_atom": -0.416}

***

No. 4
{"formula": "Na6Ca5TaP3S6O36", "functional": "PBE-GGA", "state": "optimized geometry", "lattice_angstrom": [[-0.9932, 8.7724, 2.6412], [1.6609, -6.5553, 6.3215], [23.1201, 3.3741, -2.5122]], "species": ["O", "O", "O", "O", "O", "O", "O", "O", "O", "O", "O", "O", "O", "O", "O", "O", "O", "O", "O", "O", "O", "O", "O", "O", "O", "O", "O", "O", "O", "O", "O", "O", "O", "O", "O", "O", "O", "O", "O", "O", "O", "O", "O", "O", "O", "O", "O", "O", "O", "O", "O", "O", "O", "O", "O", "O", "O", "O", "O", "O", "O", "O", "O", "O", "O", "O", "O", "O", "O", "O", "O", "O", "S", "S", "S", "S", "S", "S", "S", "S", "S", "S", "S", "S", "Na", "Na", "Na", "Na", "Na", "Na", "Na", "Na", "Na", "Na", "Na", "Na", "P", "P", "P", "P", "P", "P", "Ca", "Ca", "Ca", "Ca", "Ca", "Ca", "Ca", "Ca", "Ca", "Ca", "Ta", "Ta"], "frac_coords": [[0.9951, 0.8088, 0.0853], [0.3414, 0.8485, 0.8662], [0.7543, 0.7996, 0.2052], [0.2120, 0.2572, 0.6972], [0.3199, 0.4886, 0.7622], [0.1232, 0.4520, 0.9752], [0.5044, 0.3844, 0.4091], [0.9825, 0.1709, 0.5859], [0.1777, 0.9613, 0.9089], [0.4443, 0.3147, 0.0317], [0.4713, 0.1257, 0.6339], [0.4910, 0.1317, 0.2484], [0.2199, 0.2105, 0.7992], [0.5451, 0.8697, 0.4689], [0.8800, 0.3844, 0.9091], [0.7297, 0.9507, 0.6918], [0.5046, 0.6721, 0.2686], [0.3205, 0.8239, 0.2665], [0.1676, 0.6721, 0.7686], [0.4548, 0.3368, 0.1347], [0.8717, 0.5105, 0.4104], [0.4502, 0.1362, 0.5310], [0.5118, 0.6531, 0.5803], [0.1688, 0.4973, 0.8687], [0.6360, 0.1191, 0.4107], [0.8018, 0.0122, 0.7966], [0.8705, 0.3147, 0.5317], [0.6387, 0.5105, 0.9104], [0.8258, 0.0268, 0.0876], [0.9900, 0.7761, 0.8129], [0.6407, 0.1317, 0.7484], [0.1834, 0.2020, 0.4120], [0.3246, 0.8697, 0.9689], [0.6529, 0.5311, 0.6294], [0.3285, 0.4973, 0.3687], [0.6571, 0.5154, 0.2529], [0.2103, 0.0122, 0.2966], [0.8719, 0.3502, 0.2468], [0.4783, 0.3502, 0.7468], [0.0186, 0.2020, 0.9120], [0.5252, 0.6652, 0.8633], [0.1884, 0.1709, 0.0859], [0.1400, 0.6652, 0.3633], [0.1413, 0.6531, 0.0803], [0.1247, 0.6783, 0.4658], [0.5167, 0.8720, 0.0809], [0.7836, 0.9613, 0.4089], [0.3553, 0.8720, 0.5809], [0.0452, 0.7996, 0.7052], [0.4831, 0.1191, 0.9107], [0.8014, 0.8101, 0.9096], [0.3315, 0.4719, 0.0821], [0.2010, 0.0268, 0.5876], [0.7861, 0.7761, 0.3129], [0.0452, 0.2572, 0.1972], [0.1404, 0.4719, 0.5821], [0.8583, 0.5154, 0.7529], [0.8808, 0.5607, 0.0265], [0.9905, 0.2105, 0.2992], [0.8138, 0.8088, 0.5853], [0.8820, 0.3368, 0.6347], [0.6544, 0.1257, 0.1339], [0.5071, 0.8485, 0.3662], [0.6799, 0.5607, 0.5265], [0.8782, 0.5311, 0.1294], [0.6860, 0.1362, 0.0310], [0.2210, 0.9507, 0.1918], [0.0087, 0.8101, 0.4096], [0.5536, 0.6783, 0.9658], [0.1686, 0.4886, 0.2622], [0.5033, 0.8239, 0.7665], [0.3288, 0.4520, 0.4752], [0.0370, 0.6659, 0.4129], [0.6208, 0.9540, 0.4146], [0.9694, 0.6369, 0.0805], [0.0108, 0.3174, 0.2511], [0.3591, 0.3255, 0.0835], [0.6676, 0.6369, 0.5805], [0.3066, 0.3174, 0.7511], [0.6289, 0.6659, 0.9129], [0.3690, 0.0401, 0.5837], [0.3332, 0.9540, 0.9146], [0.6710, 0.0401, 0.0837], [0.9664, 0.3255, 0.5835], [0.7044, 0.6674, 0.4047], [0.3624, 0.6798, 0.1700], [0.3026, 0.9712, 0.0946], [0.3174, 0.6798, 0.6700], [0.6813, 0.3179, 0.8251], [0.6686, 0.9712, 0.5946], [0.0321, 0.0160, 0.4938], [0.9630, 0.6674, 0.9047], [0.3062, 0.3357, 0.5803], [0.6366, 0.3179, 0.3251], [0.9838, 0.0160, 0.9938], [0.0295, 0.3357, 0.0803], [0.0426, 0.3762, 0.9179], [0.3100, 0.9894, 0.2503], [0.0027, 0.6929, 0.7589], [0.6902, 0.6929, 0.2589], [0.6794, 0.9894, 0.7503], [0.3336, 0.3762, 0.4179], [0.9921, 0.9802, 0.1630], [0.6645, 0.3299, 0.4765], [0.6621, 0.3397, 0.1884], [0.0146, 0.0117, 0.3463], [0.6654, 0.3299, 0.9765], [0.3202, 0.6626, 0.5152], [0.9972, 0.0117, 0.8463], [0.9881, 0.9802, 0.6630], [0.6776, 0.3397, 0.6884], [0.3425, 0.6626, 0.0152], [0.3298, 0.6623, 0.8157], [0.3326, 0.6623, 0.3157]], "m_tot_mub_per_cell": 0.0, "sg": "Cc, No. 9", "crystal_system": "monoclinic", "formation_enthalpy_0k_ev_per_atom": -2.608}

***

No. 5
{"formula": "LaFe5H7", "functional": "PBE-GGA", "state": "optimized geometry", "lattice_angstrom": [[0.9774, 5.5184, -0.6081], [-5.2899, -1.9473, -0.0456], [-0.4328, 0.9831, 8.2260]], "species": ["Fe", "Fe", "Fe", "Fe", "Fe", "Fe", "Fe", "Fe", "Fe", "Fe", "H", "H", "H", "H", "H", "H", "H", "H", "H", "H", "H", "H", "H", "H", "La", "La"], "frac_coords": [[0.3333, 0.6667, 0.9893], [0.9765, 0.4882, 0.7720], [0.3333, 0.6667, 0.5134], [0.4882, 0.5118, 0.2720], [0.4882, 0.9765, 0.2720], [0.0235, 0.5118, 0.2720], [0.6667, 0.3333, 0.4893], [0.6667, 0.3333, 0.0134], [0.5118, 0.4882, 0.7720], [0.5118, 0.0235, 0.7720], [0.1404, 0.8596, 0.2729], [0.3333, 0.6667, 0.7689], [0.2809, 0.1404, 0.7729], [0.5031, 0.0061, 0.5628], [0.8596, 0.1404, 0.7729], [0.6667, 0.3333, 0.2689], [0.4969, 0.5031, 0.0628], [0.0061, 0.5031, 0.0628], [0.5031, 0.4969, 0.5628], [0.8596, 0.7191, 0.7729], [0.1404, 0.2809, 0.2729], [0.9939, 0.4969, 0.5628], [0.4969, 0.9939, 0.0628], [0.7191, 0.8596, 0.2729], [0.0000, 0.0000, 0.0222], [0.0000, 0.0000, 0.5222]], "m_tot_mub_per_cell": 24.6, "sg": "P6_3mc, No. 186", "crystal_system": "hexagonal", "formation_enthalpy_0k_ev_per_atom": -0.179, "de_polymorph_mev_per_atom": 8.1}

***

No. 6
{"formula": "SiH23C11N3O8", "functional": "PBE-GGA", "state": "optimized geometry", "lattice_angstrom": [[10.1672, 0.0586, -3.5894], [-5.8483, 8.5287, -0.9277], [-0.1773, -0.1074, 11.7621]], "species": ["N", "N", "N", "N", "N", "N", "H", "H", "H", "H", "H", "H", "H", "H", "H", "H", "H", "H", "H", "H", "H", "H", "H", "H", "H", "H", "H", "H", "H", "H", "H", "H", "H", "H", "H", "H", "H", "H", "H", "H", "H", "H", "H", "H", "H", "H", "H", "H", "H", "H", "H", "H", "C", "C", "C", "C", "C", "C", "C", "C", "C", "C", "C", "C", "C", "C", "C", "C", "C", "C", "C", "C", "C", "C", "O", "O", "O", "O", "O", "O", "O", "O", "O", "O", "O", "O", "O", "O", "O", "O", "Si", "Si"], "frac_coords": [[0.1888, 0.5796, 0.1734], [0.3667, 0.2915, 0.3844], [0.6795, 0.2148, 0.0638], [0.3205, 0.7852, 0.9362], [0.6333, 0.7085, 0.6156], [0.8112, 0.4204, 0.8266], [0.8861, 0.7702, 0.9449], [0.4016, 0.8711, 0.0234], [0.0425, 0.2677, 0.4044], [0.2298, 0.2730, 0.8828], [0.5903, 0.7240, 0.0546], [0.9575, 0.7323, 0.5956], [0.5908, 0.6008, 0.2257], [0.2712, 0.2033, 0.3022], [0.9535, 0.6374, 0.3349], [0.8512, 0.4830, 0.9180], [0.8375, 0.4082, 0.4599], [0.2945, 0.6097, 0.2454], [0.7702, 0.7270, 0.1172], [0.2454, 0.6719, 0.9292], [0.9458, 0.1781, 0.6888], [0.0465, 0.3626, 0.6651], [0.8903, 0.0708, 0.3043], [0.4097, 0.2760, 0.9454], [0.5899, 0.5948, 0.6119], [0.7546, 0.3281, 0.0708], [0.9782, 0.8890, 0.5356], [0.6015, 0.8735, 0.3323], [0.4092, 0.3992, 0.7743], [0.1621, 0.9162, 0.1178], [0.3748, 0.5282, 0.8500], [0.0542, 0.8219, 0.3112], [0.9783, 0.1769, 0.1250], [0.1488, 0.5170, 0.0820], [0.1139, 0.2298, 0.0551], [0.7288, 0.7967, 0.6978], [0.3670, 0.7497, 0.6236], [0.8379, 0.0838, 0.8822], [0.3985, 0.1265, 0.6677], [0.0218, 0.1110, 0.4644], [0.6330, 0.2503, 0.3764], [0.6252, 0.4718, 0.1500], [0.4732, 0.0445, 0.5952], [0.2245, 0.0730, 0.0509], [0.7055, 0.3903, 0.7546], [0.4101, 0.4052, 0.3881], [0.5984, 0.1289, 0.9766], [0.1097, 0.9292, 0.6957], [0.5268, 0.9555, 0.4048], [0.1625, 0.5918, 0.5401], [0.0217, 0.8231, 0.8750], [0.7755, 0.9270, 0.9491], [0.9828, 0.8688, 0.9331], [0.5896, 0.7405, 0.5056], [0.0452, 0.8492, 0.5975], [0.5696, 0.5382, 0.1335], [0.2458, 0.7105, 0.6095], [0.4104, 0.2595, 0.4944], [0.3349, 0.8187, 0.8315], [0.9277, 0.2562, 0.6382], [0.3611, 0.3488, 0.9355], [0.8767, 0.0196, 0.9373], [0.7542, 0.2895, 0.3905], [0.1233, 0.9804, 0.0627], [0.9059, 0.3853, 0.8023], [0.6389, 0.6512, 0.0645], [0.0941, 0.6147, 0.1977], [0.6326, 0.9539, 0.4201], [0.0172, 0.1312, 0.0669], [0.6651, 0.1813, 0.1685], [0.9548, 0.1508, 0.4025], [0.0723, 0.7438, 0.3618], [0.3674, 0.0461, 0.5799], [0.4304, 0.4618, 0.8665], [0.7677, 0.3116, 0.2741], [0.5730, 0.0504, 0.1728], [0.5117, 0.3584, 0.6019], [0.3282, 0.1013, 0.4720], [0.6010, 0.5687, 0.9400], [0.6718, 0.8987, 0.5280], [0.9598, 0.5760, 0.1189], [0.9217, 0.9485, 0.8631], [0.0402, 0.4240, 0.8811], [0.4883, 0.6416, 0.3981], [0.4270, 0.9496, 0.8272], [0.0783, 0.0515, 0.1369], [0.3990, 0.4313, 0.0600], [0.1653, 0.7018, 0.3234], [0.2323, 0.6884, 0.7259], [0.8347, 0.2982, 0.6766], [0.1858, 0.8425, 0.5420], [0.8142, 0.1575, 0.4580]], "m_tot_mub_per_cell": 0.0, "sg": "P-1, No. 2", "crystal_system": "triclinic", "formation_enthalpy_0k_ev_per_atom": -0.568}